Rb4Zr3Se14: relaxed, PBE.

Geometry as POSCAR:
```
Rb4Zr3Se14
1.0
11.513 -4.405 0.000
11.513 4.405 0.000
-5.394 0.000 13.536
Rb Zr Se
8 6 28
Cartesian
1.286 1.561 8.227 Rb
5.356 2.203 11.514 Rb
9.579 2.203 8.790 Rb
3.983 -1.561 1.459 Rb
13.649 1.561 12.077 Rb
8.053 -2.203 4.746 Rb
12.276 -2.203 2.022 Rb
16.346 -1.561 5.309 Rb
7.188 2.264 1.163 Zr
10.164 2.303 3.384 Zr
13.141 2.264 5.605 Zr
4.491 -2.264 7.931 Zr
7.467 -2.303 10.152 Zr
10.444 -2.264 12.373 Zr
4.488 1.873 1.411 Se
-2.795 0.083 11.737 Se
-0.098 -0.083 4.969 Se
8.504 2.967 5.456 Se
2.245 0.204 4.472 Se
-0.452 -0.204 11.240 Se
11.825 2.967 1.312 Se
7.691 1.265 3.843 Se
4.865 0.439 8.249 Se
9.596 0.847 1.063 Se
7.562 -0.439 1.481 Se
1.792 -1.873 8.179 Se
12.638 1.265 2.925 Se
10.732 0.847 5.705 Se
6.900 -0.847 7.831 Se
4.994 -1.265 10.611 Se
15.840 1.873 5.357 Se
10.070 0.439 12.055 Se
8.035 -0.847 12.473 Se
12.767 -0.439 5.287 Se
9.941 -1.265 9.693 Se
5.807 -2.967 12.224 Se
18.084 0.204 2.296 Se
15.387 -0.204 9.064 Se
9.128 -2.967 8.080 Se
17.730 0.083 8.567 Se
20.427 -0.083 1.799 Se
13.143 -1.873 12.125 Se
```

Summary:
space group: C2/c (15)
crystal system: monoclinic
MP2020-corrected energy: -0.3737 Ry per atom